(1)
K5AgS6O9 GGA-PBE optimized geometry; mass density = 2.521 g/cm³; crystal system = monoclinic; DFT formation energy = -1709 meV/atom; M_tot = 0.0 μB/cell
1.0
10.872 0.000 0.000
0.000 10.946 0.000
-0.765 0.000 14.166
K Ag S O
20 4 24 36
direct
0.044 0.086 0.338
0.044 0.414 0.838
0.101 0.250 0.100
0.101 0.250 0.600
0.248 0.689 0.735
0.248 0.811 0.235
0.365 0.230 0.419
0.365 0.270 0.919
0.394 0.041 0.672
0.394 0.459 0.172
0.606 0.541 0.828
0.606 0.959 0.328
0.635 0.730 0.081
0.635 0.770 0.581
0.752 0.189 0.765
0.752 0.311 0.265
0.899 0.750 0.400
0.899 0.750 0.900
0.956 0.586 0.162
0.956 0.914 0.662
0.344 0.595 0.459
0.344 0.905 0.959
0.656 0.095 0.041
0.656 0.405 0.541
0.118 0.108 0.833
0.118 0.392 0.333
0.136 0.570 0.373
0.136 0.930 0.873
0.217 0.590 0.001
0.217 0.910 0.501
0.377 0.664 0.957
0.377 0.836 0.457
0.380 0.121 0.183
0.380 0.379 0.683
0.457 0.526 0.618
0.457 0.974 0.118
0.543 0.026 0.882
0.543 0.474 0.382
0.620 0.621 0.317
0.620 0.879 0.817
0.623 0.164 0.543
0.623 0.336 0.043
0.783 0.090 0.499
0.783 0.410 0.999
0.864 0.070 0.127
0.864 0.430 0.627
0.882 0.608 0.667
0.882 0.892 0.167
0.001 0.621 0.723
0.001 0.879 0.223
0.115 0.627 0.933
0.115 0.873 0.433
0.121 0.188 0.917
0.121 0.312 0.417
0.198 0.633 0.098
0.198 0.867 0.598
0.222 0.139 0.773
0.222 0.361 0.273
0.231 0.046 0.500
0.231 0.454 0.000
0.267 0.078 0.227
0.267 0.422 0.727
0.353 0.216 0.110
0.353 0.284 0.610
0.474 0.165 0.256
0.474 0.335 0.756
0.526 0.665 0.244
0.526 0.835 0.744
0.647 0.716 0.390
0.647 0.784 0.890
0.733 0.578 0.273
0.733 0.922 0.773
0.769 0.546 0.000
0.769 0.954 0.500
0.778 0.639 0.727
0.778 0.861 0.227
0.802 0.133 0.402
0.802 0.367 0.902
0.879 0.688 0.583
0.879 0.812 0.083
0.885 0.127 0.567
0.885 0.373 0.067
0.999 0.121 0.777
0.999 0.379 0.277



(2)
K4Ag2Sn3S9O2 GGA-PBE optimized geometry; mass density = 3.026 g/cm³; crystal system = monoclinic; DFT formation energy = -652 meV/atom; M_tot = 0.0 μB/cell; energy relative to the lowest polymorph listed for this composition = 76 meV per atom
1.0
8.032 0.000 0.000
0.000 25.593 0.000
-1.938 0.000 11.201
K Ag Sn S O
16 8 12 36 8
direct
0.064 0.250 0.111
0.158 0.250 0.466
0.181 0.066 0.591
0.181 0.434 0.591
0.249 0.560 0.904
0.249 0.940 0.904
0.334 0.750 0.276
0.388 0.750 0.865
0.612 0.250 0.135
0.666 0.250 0.724
0.751 0.060 0.096
0.751 0.440 0.096
0.819 0.566 0.409
0.819 0.934 0.409
0.842 0.750 0.534
0.936 0.750 0.889
0.361 0.170 0.287
0.361 0.330 0.287
0.492 0.631 0.187
0.492 0.869 0.187
0.508 0.131 0.813
0.508 0.369 0.813
0.639 0.670 0.713
0.639 0.830 0.713
0.024 0.641 0.167
0.024 0.859 0.167
0.282 0.001 0.254
0.282 0.499 0.254
0.328 0.628 0.486
0.328 0.872 0.486
0.672 0.128 0.514
0.672 0.372 0.514
0.718 0.501 0.746
0.718 0.999 0.746
0.976 0.141 0.833
0.976 0.359 0.833
0.000 0.047 0.849
0.000 0.453 0.849
0.000 0.547 0.151
0.000 0.953 0.151
0.065 0.671 0.376
0.065 0.829 0.376
0.118 0.106 0.289
0.118 0.394 0.289
0.228 0.671 0.054
0.228 0.829 0.054
0.261 0.192 0.898
0.261 0.308 0.898
0.276 0.536 0.464
0.276 0.964 0.464
0.347 0.647 0.696
0.347 0.853 0.696
0.438 0.162 0.592
0.438 0.338 0.592
0.485 0.035 0.831
0.485 0.465 0.831
0.515 0.535 0.169
0.515 0.965 0.169
0.562 0.662 0.408
0.562 0.838 0.408
0.653 0.147 0.304
0.653 0.353 0.304
0.724 0.036 0.536
0.724 0.464 0.536
0.739 0.692 0.102
0.739 0.808 0.102
0.772 0.171 0.946
0.772 0.329 0.946
0.882 0.606 0.711
0.882 0.894 0.711
0.935 0.171 0.624
0.935 0.329 0.624
0.097 0.170 0.285
0.097 0.330 0.285
0.245 0.250 0.819
0.360 0.250 0.242
0.640 0.750 0.758
0.755 0.750 0.181
0.903 0.670 0.715
0.903 0.830 0.715



(3)
K4Ag2Sn3S9O2 GGA-PBE optimized geometry; mass density = 3.146 g/cm³; crystal system = monoclinic; DFT formation energy = -728 meV/atom; M_tot = 16.0 μB/cell; energy relative to the lowest polymorph listed for this composition = 0 meV per atom
1.0
7.863 0.000 0.000
0.000 27.423 0.000
-2.333 0.000 10.269
K Ag Sn S O
16 8 12 36 8
direct
0.063 0.250 0.099
0.173 0.250 0.728
0.264 0.060 0.119
0.264 0.440 0.119
0.308 0.750 0.480
0.326 0.567 0.421
0.326 0.933 0.421
0.407 0.750 0.886
0.593 0.250 0.114
0.674 0.067 0.579
0.674 0.433 0.579
0.692 0.250 0.520
0.736 0.560 0.881
0.736 0.940 0.881
0.827 0.750 0.272
0.937 0.750 0.901
0.016 0.127 0.834
0.016 0.373 0.834
0.145 0.624 0.813
0.145 0.876 0.813
0.855 0.124 0.187
0.855 0.376 0.187
0.984 0.627 0.166
0.984 0.873 0.166
0.174 0.131 0.505
0.174 0.369 0.505
0.239 0.013 0.737
0.239 0.487 0.737
0.498 0.637 0.140
0.498 0.863 0.140
0.502 0.137 0.860
0.502 0.363 0.860
0.761 0.513 0.263
0.761 0.987 0.263
0.826 0.631 0.495
0.826 0.869 0.495
0.001 0.535 0.172
0.001 0.965 0.172
0.059 0.656 0.400
0.059 0.844 0.400
0.158 0.153 0.285
0.158 0.347 0.285
0.206 0.664 0.039
0.206 0.836 0.039
0.221 0.042 0.512
0.221 0.458 0.512
0.289 0.169 0.966
0.289 0.331 0.966
0.334 0.569 0.726
0.334 0.931 0.726
0.452 0.166 0.633
0.452 0.334 0.633
0.484 0.548 0.134
0.484 0.952 0.134
0.516 0.048 0.866
0.516 0.452 0.866
0.548 0.666 0.367
0.548 0.834 0.367
0.666 0.069 0.274
0.666 0.431 0.274
0.711 0.669 0.034
0.711 0.831 0.034
0.779 0.542 0.488
0.779 0.958 0.488
0.794 0.164 0.961
0.794 0.336 0.961
0.842 0.653 0.715
0.842 0.847 0.715
0.941 0.156 0.600
0.941 0.344 0.600
0.999 0.035 0.828
0.999 0.465 0.828
0.103 0.750 0.693
0.141 0.750 0.188
0.431 0.691 0.687
0.431 0.809 0.687
0.569 0.191 0.313
0.569 0.309 0.313
0.859 0.250 0.812
0.897 0.250 0.307